The following is a DFT calculation (PBE) of a relaxed structure of Na6Zn3As4H6O19.

Unit cell a=12.3733 b=12.3733 c=12.3733 alpha=90.00 beta=90.00 gamma=90.00
Space group P2_13 (No. 198)
Unique sites:
Na1 0.0026 0.2529 0.5788 (multiplicity 12)
Na2 0.0045 0.7424 0.3261 (multiplicity 12)
Zn1 0.0102 0.7522 0.6250 (multiplicity 12)
As1 0.0172 0.9828 0.4828 (multiplicity 4)
As2 0.0317 0.0317 0.0317 (multiplicity 4)
As3 0.2210 0.2790 0.7210 (multiplicity 4)
As4 0.2309 0.7309 0.7691 (multiplicity 4)
H1 0.0403 0.1787 0.3803 (multiplicity 12)
H2 0.0678 0.3013 0.3760 (multiplicity 12)
O1 0.0053 0.2511 0.3792 (multiplicity 12)
O2 0.0085 0.5463 0.3344 (multiplicity 12)
O3 0.0473 0.4527 0.5473 (multiplicity 4)
O4 0.0573 0.4162 0.1168 (multiplicity 12)
O5 0.0618 0.5618 0.9382 (multiplicity 4)
O6 0.0925 0.3087 0.7706 (multiplicity 12)
O7 0.1282 0.6688 0.6957 (multiplicity 12)
O8 0.1905 0.1905 0.1905 (multiplicity 4)
O9 0.1998 0.8002 0.3002 (multiplicity 4)

DFT total energy, eV/cell: -800.148